No. 1
# Er3NF10 GGA-PBE relaxed
# E_form = -334 kJ/mol of atoms
# crystal system = orthorhombic
data_Er3NF10
_chemical_formula_sum 'Er12 N4 F40'
_space_group_name_H-M_alt 'P 1'
_space_group_IT_number 1
_cell_length_a 8.1264
_cell_length_b 8.1264
_cell_length_c 13.3717
_cell_angle_alpha 90.00
_cell_angle_beta 90.00
_cell_angle_gamma 119.92
loop_
_space_group_symop_operation_xyz
'x,y,z'
loop_
_atom_site_label
_atom_site_type_symbol
_atom_site_fract_x
_atom_site_fract_y
_atom_site_fract_z
_atom_site_occupancy
N1 N 0.0059 0.9941 0.9792 1
N2 N 0.9941 0.0059 0.4792 1
N3 N 0.3313 0.6687 0.2580 1
N4 N 0.6687 0.3313 0.7580 1
F1 F 0.3390 0.3425 0.6308 1
F2 F 0.0444 0.5223 0.8259 1
F3 F 0.4477 0.2210 0.9661 1
F4 F 0.8123 0.6310 0.4357 1
F5 F 0.4777 0.9556 0.8259 1
F6 F 0.5180 0.4820 0.3251 1
F7 F 0.7789 0.2211 0.9659 1
F8 F 0.8187 0.1813 0.4372 1
F9 F 0.6652 0.3348 0.2110 1
F10 F 0.8936 0.7824 0.7918 1
F11 F 0.6610 0.6575 0.1308 1
F12 F 0.6310 0.8123 0.9357 1
F13 F 0.1083 0.8917 0.2925 1
F14 F 0.3690 0.1877 0.4357 1
F15 F 0.7824 0.8936 0.2918 1
F16 F 0.1064 0.2176 0.2918 1
F17 F 0.9931 0.6610 0.1307 1
F18 F 0.6647 0.0093 0.1305 1
F19 F 0.0093 0.6647 0.6305 1
F20 F 0.2211 0.7789 0.4659 1
F21 F 0.3353 0.9907 0.6305 1
F22 F 0.8917 0.1083 0.7925 1
F23 F 0.9907 0.3353 0.1305 1
F24 F 0.6575 0.6610 0.6308 1
F25 F 0.2210 0.4477 0.4661 1
F26 F 0.1877 0.3690 0.9357 1
F27 F 0.7790 0.5523 0.9661 1
F28 F 0.2176 0.1064 0.7918 1
F29 F 0.6661 0.3339 0.5422 1
F30 F 0.3348 0.6652 0.7110 1
F31 F 0.3390 0.0069 0.1307 1
F32 F 0.3425 0.3390 0.1308 1
F33 F 0.6610 0.9931 0.6307 1
F34 F 0.5523 0.7790 0.4661 1
F35 F 0.5223 0.0444 0.3259 1
F36 F 0.4820 0.5180 0.8251 1
F37 F 0.9556 0.4777 0.3259 1
F38 F 0.3339 0.6661 0.0422 1
F39 F 0.1813 0.8187 0.9372 1
F40 F 0.0069 0.3390 0.6307 1
Er1 Er 0.0152 0.5048 0.0002 1
Er2 Er 0.3485 0.1770 0.2607 1
Er3 Er 0.6515 0.8230 0.7607 1
Er4 Er 0.8250 0.1750 0.2595 1
Er5 Er 0.5053 0.4947 0.4993 1
Er6 Er 0.8230 0.6515 0.2607 1
Er7 Er 0.4947 0.5053 0.9993 1
Er8 Er 0.9848 0.4952 0.5002 1
Er9 Er 0.5048 0.0152 0.5002 1
Er10 Er 0.1770 0.3485 0.7607 1
Er11 Er 0.4952 0.9848 0.0002 1
Er12 Er 0.1750 0.8250 0.7595 1

No. 2
# NaErF4 GGA-PBE relaxed
# E_form = -385 kJ/mol of atoms
# crystal system = tetragonal
data_NaErF4
_chemical_formula_sum 'Na1 Er1 F4'
_space_group_name_H-M_alt 'P 1'
_space_group_IT_number 1
_cell_length_a 3.7884
_cell_length_b 3.7884
_cell_length_c 5.4779
_cell_angle_alpha 90.00
_cell_angle_beta 90.00
_cell_angle_gamma 90.00
loop_
_space_group_symop_operation_xyz
'x,y,z'
loop_
_atom_site_label
_atom_site_type_symbol
_atom_site_fract_x
_atom_site_fract_y
_atom_site_fract_z
_atom_site_occupancy
F1 F 0.0000 0.5000 0.7296 1
F2 F 0.0000 0.5000 0.2704 1
F3 F 0.5000 0.0000 0.7296 1
F4 F 0.5000 0.0000 0.2704 1
Er1 Er 0.5000 0.5000 0.5000 1
Na1 Na 0.0000 0.0000 0.0000 1

No. 3
# NaErF4 GGA-PBE relaxed
# E_form = -385 kJ/mol of atoms
# crystal system = tetragonal
data_NaErF4
_chemical_formula_sum 'Na2 Er2 F8'
_space_group_name_H-M_alt 'P 1'
_space_group_IT_number 1
_cell_length_a 6.5883
_cell_length_b 6.5883
_cell_length_c 6.5883
_cell_angle_alpha 131.09
_cell_angle_beta 131.09
_cell_angle_gamma 71.67
loop_
_space_group_symop_operation_xyz
'x,y,z'
loop_
_atom_site_label
_atom_site_type_symbol
_atom_site_fract_x
_atom_site_fract_y
_atom_site_fract_z
_atom_site_occupancy
F1 F 0.1468 0.6250 0.0218 1
F2 F 0.3750 0.3968 0.5218 1
F3 F 0.8750 0.8532 0.4782 1
F4 F 0.6032 0.1250 0.9782 1
F5 F 0.3750 0.8532 0.9782 1
F6 F 0.6032 0.6250 0.4782 1
F7 F 0.1468 0.1250 0.5218 1
F8 F 0.8750 0.3968 0.0218 1
Er1 Er 0.2500 0.7500 0.5000 1
Er2 Er 0.5000 0.5000 0.0000 1
Na1 Na 0.0000 0.0000 0.0000 1
Na2 Na 0.7500 0.2500 0.5000 1

No. 4
# NaErPO4F GGA-PBE relaxed
# E_form = -325 kJ/mol of atoms
# crystal system = monoclinic
data_NaErPO4F
_chemical_formula_sum 'Na2 Er2 P2 O8 F2'
_space_group_name_H-M_alt 'P 1'
_space_group_IT_number 1
_cell_length_a 5.6689
_cell_length_b 5.6689
_cell_length_c 6.5018
_cell_angle_alpha 77.29
_cell_angle_beta 77.29
_cell_angle_gamma 75.59
loop_
_space_group_symop_operation_xyz
'x,y,z'
loop_
_atom_site_label
_atom_site_type_symbol
_atom_site_fract_x
_atom_site_fract_y
_atom_site_fract_z
_atom_site_occupancy
O1 O 0.9802 0.6273 0.1546 1
O2 O 0.0190 0.0190 0.2697 1
O3 O 0.2569 0.2569 0.4898 1
O4 O 0.7431 0.7431 0.5102 1
O5 O 0.0198 0.3727 0.8454 1
O6 O 0.3727 0.0198 0.8454 1
O7 O 0.6273 0.9802 0.1546 1
O8 O 0.9810 0.9810 0.7303 1
P1 P 0.1543 0.1543 0.7239 1
P2 P 0.8457 0.8457 0.2761 1
Na1 Na 0.7072 0.2928 0.5000 1
Na2 Na 0.2928 0.7072 0.5000 1
Er1 Er 0.7171 0.7171 0.8839 1
Er2 Er 0.2829 0.2829 0.1161 1
F1 F 0.5178 0.5178 0.1874 1
F2 F 0.4822 0.4822 0.8126 1

No. 5
# ErOF GGA-PBE relaxed
# E_form = -414 kJ/mol of atoms
# crystal system = trigonal
data_ErOF
_chemical_formula_sum 'Er2 O2 F2'
_space_group_name_H-M_alt 'P 1'
_space_group_IT_number 1
_cell_length_a 6.6988
_cell_length_b 6.6988
_cell_length_c 6.6988
_cell_angle_alpha 32.86
_cell_angle_beta 32.86
_cell_angle_gamma 32.86
loop_
_space_group_symop_operation_xyz
'x,y,z'
loop_
_atom_site_label
_atom_site_type_symbol
_atom_site_fract_x
_atom_site_fract_y
_atom_site_fract_z
_atom_site_occupancy
F1 F 0.1297 0.1297 0.1297 1
F2 F 0.8703 0.8703 0.8703 1
O1 O 0.6216 0.6216 0.6216 1
O2 O 0.3784 0.3784 0.3784 1
Er1 Er 0.7408 0.7408 0.7408 1
Er2 Er 0.2592 0.2592 0.2592 1

No. 6
# ErSeO3F GGA-PBE relaxed
# E_form = -272 kJ/mol of atoms
# crystal system = monoclinic
data_ErSeO3F
_chemical_formula_sum 'Er4 Se4 O12 F4'
_space_group_name_H-M_alt 'P 1'
_space_group_IT_number 1
_cell_length_a 6.9473
_cell_length_b 6.6192
_cell_length_c 7.2073
_cell_angle_alpha 81.50
_cell_angle_beta 90.00
_cell_angle_gamma 90.00
loop_
_space_group_symop_operation_xyz
'x,y,z'
loop_
_atom_site_label
_atom_site_type_symbol
_atom_site_fract_x
_atom_site_fract_y
_atom_site_fract_z
_atom_site_occupancy
F1 F 0.6191 0.8331 0.0254 1
F2 F 0.3809 0.1669 0.9746 1
F3 F 0.1191 0.1669 0.4746 1
F4 F 0.8809 0.8331 0.5254 1
O1 O 0.8063 0.1740 0.2205 1
O2 O 0.1861 0.4839 0.1392 1
O3 O 0.6861 0.5161 0.3608 1
O4 O 0.3139 0.4839 0.6392 1
O5 O 0.3063 0.8260 0.2795 1
O6 O 0.1937 0.8260 0.7795 1
O7 O 0.9686 0.8271 0.1475 1
O8 O 0.5314 0.8271 0.6475 1
O9 O 0.6937 0.1740 0.7205 1
O10 O 0.4686 0.1729 0.3525 1
O11 O 0.0314 0.1729 0.8525 1
O12 O 0.8139 0.5161 0.8608 1
Se1 Se 0.1190 0.6488 0.2893 1
Se2 Se 0.3810 0.6488 0.7893 1
Se3 Se 0.6190 0.3512 0.2107 1
Se4 Se 0.8810 0.3512 0.7107 1
Er1 Er 0.3595 0.1393 0.6758 1
Er2 Er 0.8595 0.8607 0.8242 1
Er3 Er 0.1405 0.1393 0.1758 1
Er4 Er 0.6405 0.8607 0.3242 1